## Ta17Al12 (PBE-GGA)

Data for an optimized crystal structure of Ta17Al12.

Structure (POSCAR):
```
Ta17Al12
1.0
-4.991 4.991 4.991
4.991 -4.991 4.991
4.991 4.991 -4.991
Ta Al
17 12
direct
0.000 0.000 0.000
0.645 0.000 0.000
0.000 0.645 0.000
0.000 0.000 0.645
0.355 0.355 0.355
0.407 0.678 0.000
0.729 0.322 0.322
0.407 0.000 0.678
0.678 0.407 0.000
0.000 0.407 0.678
0.322 0.729 0.322
0.322 0.322 0.729
0.000 0.678 0.407
0.678 0.000 0.407
0.593 0.593 0.271
0.271 0.593 0.593
0.593 0.271 0.593
0.368 0.186 0.000
0.181 0.814 0.814
0.368 0.000 0.186
0.186 0.368 0.000
0.000 0.368 0.186
0.814 0.181 0.814
0.814 0.814 0.181
0.000 0.186 0.368
0.186 0.000 0.368
0.632 0.632 0.819
0.819 0.632 0.632
0.632 0.819 0.632
```

Properties
Its space group is I-43m. The value obtained for the total energy is -8.643 eV per atom.

---

## KBaTbBiO6 (PBE-GGA)

Data for an optimized crystal structure of KBaTbBiO6.

Structure (POSCAR):
```
KBaTbBiO6
1.0
8.742 0.000 0.000
0.000 8.709 0.000
0.000 0.000 8.752
K Ba Tb Bi O
4 4 4 4 24
direct
0.500 0.000 0.500
0.500 0.500 0.000
0.000 0.500 0.000
0.000 0.000 0.500
0.000 0.500 0.500
0.500 0.000 0.000
0.000 0.000 0.000
0.500 0.500 0.500
0.250 0.250 0.250
0.750 0.750 0.250
0.750 0.250 0.750
0.250 0.750 0.750
0.750 0.750 0.750
0.250 0.250 0.750
0.250 0.750 0.250
0.750 0.250 0.250
0.993 0.236 0.264
0.007 0.764 0.264
0.007 0.236 0.736
0.993 0.764 0.736
0.263 0.993 0.225
0.263 0.007 0.775
0.737 0.007 0.225
0.737 0.993 0.775
0.234 0.254 0.993
0.766 0.254 0.007
0.234 0.746 0.007
0.766 0.746 0.993
0.507 0.264 0.236
0.493 0.736 0.236
0.493 0.264 0.764
0.507 0.736 0.764
0.237 0.507 0.275
0.237 0.493 0.725
0.763 0.493 0.275
0.763 0.507 0.725
0.266 0.246 0.507
0.734 0.246 0.493
0.266 0.754 0.493
0.734 0.754 0.507
```

Properties
Its space group is Pnnn. The value obtained for the total energy is -6.115 eV per atom. As for the distance to the lowest polymorph of the same formula: 0.00 eV/f.u.

---

## Li3CeSb2 (PBE-GGA)

Data for an optimized crystal structure of Li3CeSb2.

Structure (POSCAR):
```
Li3CeSb2
1.0
0.372 2.959 3.504
-4.144 -1.531 -1.289
0.623 -5.641 4.698
Li Ce Sb
3 1 2
direct
0.667 0.333 0.356
0.333 0.667 0.644
0.000 0.000 0.500
0.000 0.000 0.000
0.667 0.333 0.745
0.333 0.667 0.255
```

Properties
Its space group is P-3m1. The value obtained for the total energy is -4.124 eV per atom.

---

## Na4Al3Si7H8O24 (PBE-GGA)

Data for an optimized crystal structure of Na4Al3Si7H8O24.

Structure (POSCAR):
```
Na4Al3Si7H8O24
1.0
6.644 0.000 0.000
-3.302 -9.332 0.000
-3.313 0.087 -9.403
Na Al Si H O
4 3 7 8 24
direct
0.557 0.935 0.446
0.190 0.058 0.563
0.375 0.562 0.939
0.876 0.443 0.058
0.318 0.576 0.313
0.423 0.420 0.686
0.489 0.924 0.813
0.322 0.812 0.078
0.430 0.190 0.922
0.261 0.689 0.580
0.993 0.310 0.416
0.753 0.497 0.500
0.001 0.001 0.000
0.746 0.077 0.182
0.710 0.606 0.208
0.895 0.393 0.792
0.855 0.894 0.706
0.260 0.109 0.295
0.854 0.705 0.114
0.037 0.296 0.889
0.900 0.796 0.609
0.497 0.206 0.393
0.266 0.651 0.141
0.476 0.354 0.864
0.360 0.854 0.638
0.860 0.145 0.345
0.577 0.544 0.361
0.665 0.449 0.637
0.782 0.953 0.860
0.944 0.048 0.136
0.547 0.926 0.193
0.422 0.083 0.806
0.367 0.581 0.695
0.089 0.416 0.301
0.104 0.868 0.058
0.194 0.143 0.964
0.985 0.636 0.547
0.798 0.357 0.451
0.738 0.613 0.116
0.009 0.389 0.884
0.875 0.888 0.613
0.377 0.113 0.387
0.319 0.695 0.432
0.186 0.298 0.564
0.369 0.805 0.930
0.640 0.192 0.073
```

Properties
Its space group is P1. The value obtained for the total energy is -6.611 eV per atom.

---

## Sr20P12BrO48F3 (PBE-GGA)

Data for an optimized crystal structure of Sr20P12BrO48F3.

Structure (POSCAR):
```
Sr20P12BrO48F3
1.0
6.429 -1.004 -3.412
-4.505 -5.613 -6.839
-2.899 13.989 -9.577
Sr P Br O F
20 12 1 48 3
direct
0.501 0.502 0.168
0.501 0.998 0.666
0.002 0.994 0.332
0.004 0.505 0.835
0.502 0.999 0.337
0.505 0.501 0.830
0.996 0.501 0.167
0.997 0.999 0.667
0.251 0.617 0.376
0.255 0.126 0.863
0.258 0.735 0.005
0.249 0.253 0.504
0.256 0.141 0.132
0.251 0.629 0.620
0.748 0.882 0.124
0.750 0.384 0.624
0.751 0.747 0.497
0.748 0.242 0.997
0.750 0.372 0.380
0.748 0.874 0.879
0.250 0.287 0.318
0.248 0.783 0.814
0.248 0.830 0.202
0.250 0.333 0.697
0.250 0.884 0.486
0.249 0.383 0.983
0.750 0.218 0.188
0.751 0.713 0.685
0.750 0.671 0.301
0.751 0.172 0.797
0.750 0.610 0.015
0.751 0.116 0.514
0.080 0.001 0.000
0.421 0.293 0.371
0.412 0.792 0.872
0.412 0.912 0.168
0.421 0.409 0.668
0.422 0.803 0.461
0.410 0.289 0.961
0.923 0.219 0.135
0.923 0.714 0.632
0.923 0.592 0.328
0.923 0.092 0.823
0.924 0.685 0.043
0.921 0.197 0.540
0.580 0.218 0.133
0.580 0.712 0.631
0.580 0.590 0.329
0.581 0.090 0.824
0.582 0.692 0.044
0.579 0.197 0.539
0.079 0.293 0.371
0.070 0.769 0.862
0.070 0.908 0.185
0.079 0.409 0.668
0.079 0.803 0.460
0.069 0.319 0.954
0.251 0.149 0.274
0.268 0.651 0.765
0.268 0.823 0.292
0.251 0.336 0.788
0.250 0.022 0.442
0.271 0.520 0.938
0.748 0.352 0.235
0.747 0.848 0.732
0.747 0.675 0.210
0.748 0.175 0.706
0.745 0.471 0.058
0.750 0.978 0.558
0.250 0.405 0.258
0.246 0.909 0.760
0.246 0.686 0.166
0.250 0.184 0.668
0.247 0.409 0.073
0.249 0.907 0.576
0.748 0.092 0.242
0.752 0.589 0.740
0.750 0.816 0.336
0.749 0.316 0.833
0.752 0.094 0.424
0.747 0.593 0.926
0.250 0.500 0.500
0.653 0.999 0.000
0.750 0.502 0.500
```

Properties
Its space group is P1. The value obtained for the total energy is -7.067 eV per atom.

---

## Al2Zn (PBE-GGA)

Data for an optimized crystal structure of Al2Zn.

Structure (POSCAR):
```
Al2Zn
1.0
-2.588 -0.510 -1.019
2.240 -1.329 -1.101
-0.794 -5.141 4.588
Al Zn
2 1
direct
0.333 0.667 0.331
0.667 0.333 0.669
0.000 0.000 0.000
```

Properties
Its space group is P-3m1. The value obtained for the total energy is -2.909 eV per atom.

---

## HoBrO (PBE-GGA)

Data for an optimized crystal structure of HoBrO.

Structure (POSCAR):
```
HoBrO
1.0
-1.600 -3.464 0.391
2.600 -0.847 3.141
-6.060 3.470 5.952
Ho Br O
2 2 2
direct
0.500 0.500 0.114
0.000 0.000 0.886
0.000 0.500 0.341
0.500 0.000 0.659
0.000 0.500 0.976
0.500 0.000 0.024
```

Properties
Its space group is Pmmn. The value obtained for the total energy is -6.640 eV per atom.

---

## Na5Bi2AsC4O16 (PBE-GGA)

Data for an optimized crystal structure of Na5Bi2AsC4O16.

Structure (POSCAR):
```
Na5Bi2AsC4O16
1.0
3.433 -6.415 7.481
7.073 3.408 6.896
-9.174 4.247 14.952
Na Bi As C O
20 8 4 16 64
direct
0.405 0.917 0.161
0.285 0.786 0.535
0.786 0.285 0.035
0.713 0.609 0.465
0.412 0.512 0.157
0.215 0.105 0.964
0.105 0.215 0.463
0.023 0.910 0.164
0.512 0.412 0.657
0.092 0.588 0.340
0.917 0.405 0.661
0.784 0.898 0.034
0.477 0.591 0.341
0.590 0.477 0.841
0.897 0.785 0.534
0.214 0.715 0.964
0.714 0.214 0.464
0.909 0.023 0.664
0.610 0.713 0.965
0.588 0.092 0.840
0.007 0.497 0.999
0.250 0.246 0.248
0.496 0.008 0.499
0.754 0.245 0.252
0.245 0.753 0.752
0.754 0.747 0.751
0.747 0.755 0.250
0.246 0.250 0.748
0.187 0.688 0.438
0.314 0.811 0.063
0.688 0.187 0.937
0.811 0.314 0.563
0.079 0.196 0.136
0.078 0.587 0.142
0.421 0.920 0.361
0.613 0.107 0.171
0.110 0.611 0.671
0.419 0.300 0.358
0.799 0.918 0.360
0.301 0.422 0.858
0.195 0.078 0.637
0.697 0.581 0.139
0.581 0.697 0.639
0.588 0.078 0.641
0.886 0.396 0.333
0.396 0.887 0.833
0.918 0.423 0.860
0.919 0.797 0.862
0.129 0.258 0.070
0.076 0.596 0.468
0.227 0.708 0.336
0.153 0.137 0.194
0.026 0.640 0.076
0.359 0.597 0.468
0.087 0.850 0.478
0.988 0.365 0.797
0.485 0.110 0.177
0.486 0.847 0.302
0.200 0.464 0.149
0.303 0.049 0.356
0.228 0.483 0.677
0.735 0.981 0.166
0.017 0.384 0.332
0.415 0.644 0.027
0.144 0.912 0.031
0.476 0.863 0.426
0.621 0.228 0.170
0.118 0.733 0.669
0.350 0.364 0.298
0.807 0.790 0.359
0.306 0.297 0.853
0.414 0.913 0.029
0.285 0.773 0.164
0.954 0.188 0.144
0.457 0.691 0.645
0.262 0.027 0.571
0.762 0.528 0.074
0.850 0.987 0.298
0.365 0.232 0.420
0.366 0.488 0.799
0.634 0.762 0.575
0.639 0.510 0.199
0.136 0.005 0.694
0.047 0.794 0.858
0.738 0.975 0.425
0.231 0.484 0.920
0.542 0.307 0.355
0.596 0.076 0.968
0.709 0.227 0.836
0.187 0.201 0.645
0.688 0.707 0.145
0.653 0.635 0.698
0.871 0.279 0.335
0.540 0.131 0.575
0.383 0.770 0.833
0.596 0.359 0.968
0.850 0.086 0.978
0.983 0.620 0.667
0.713 0.955 0.648
0.281 0.017 0.833
0.769 0.527 0.333
0.790 0.544 0.858
0.528 0.873 0.834
0.515 0.148 0.701
0.007 0.662 0.200
0.912 0.144 0.530
0.644 0.415 0.527
0.974 0.364 0.924
0.850 0.861 0.802
0.913 0.414 0.529
0.773 0.285 0.664
0.860 0.736 0.926
```

Properties
Its space group is P1. The value obtained for the total energy is -6.292 eV per atom. As for the distance to the lowest polymorph of the same formula: 0.16 eV/f.u.

---

## TiCuGe (PBE-GGA)

Data for an optimized crystal structure of TiCuGe.

Structure (POSCAR):
```
TiCuGe
1.0
1.888 -4.569 0.000
1.888 4.569 0.000
0.000 0.000 5.136
Ti Cu Ge
2 2 2
direct
0.700 0.300 0.250
0.300 0.700 0.750
0.000 0.000 0.000
0.000 0.000 0.500
0.393 0.607 0.250
0.607 0.393 0.750
```

Properties
Its space group is Cmcm. The value obtained for the total energy is -5.880 eV per atom.

---

## HoTaO4 (PBE-GGA)

Data for an optimized crystal structure of HoTaO4.

Structure (POSCAR):
```
HoTaO4
1.0
-1.751 -2.353 -4.161
-1.206 4.933 -1.660
6.457 -0.860 0.573
Ho Ta O
2 2 8
direct
0.119 0.369 0.737
0.881 0.631 0.263
0.648 0.898 0.796
0.352 0.102 0.204
0.937 0.723 0.937
0.499 0.213 0.937
0.063 0.277 0.063
0.501 0.787 0.063
0.789 0.948 0.581
0.291 0.632 0.581
0.211 0.052 0.419
0.709 0.368 0.419
```

Properties
Its space group is C2/c. The value obtained for the total energy is -9.317 eV per atom.

---

| no. | calculated formation energy (kcal/mol of atoms) |
| --- | --- |
| 1 | -3.3 |
| 2 | -55.4 |
| 3 | -20.0 |
| 4 | -60.3 |
| 5 | -78.1 |
| 6 | 0.2 |
| 7 | -72.6 |
| 8 | -42.9 |
| 9 | -7.9 |
| 10 | -86.2 |